V2O5: relaxed, PBE+U.

Structure (extended XYZ):
```
105
Lattice="11.488 0.000 0.000 -0.013 12.440 0.000 -0.680 -0.896 13.273" Properties=species:S:1:pos:R:3 pbc="T T T"
V 0.000 0.000 0.000
V -0.270 9.543 5.147
V 1.455 6.158 10.173
V 1.399 1.479 12.520
V 1.990 10.515 2.221
V 2.855 2.968 5.293
V 3.729 6.044 4.290
V 3.707 4.366 8.494
V 4.203 8.908 2.743
V 3.969 0.409 10.318
V 4.395 11.832 3.030
V 4.353 -0.024 6.162
V 4.218 7.086 9.108
V 4.419 8.995 6.105
V 5.267 1.073 0.050
V 6.832 4.588 4.658
V 6.903 3.258 7.719
V 7.128 9.058 9.754
V 7.259 -0.006 9.104
V 8.316 1.433 1.069
V 8.809 7.230 4.176
V 10.261 9.275 0.143
V 9.901 3.308 8.059
V 10.191 11.412 2.830
V 9.823 7.309 10.319
V 10.155 -0.154 7.183
V 10.660 3.322 0.457
V 11.164 6.524 1.737
V 10.818 0.936 10.448
V 11.161 2.347 3.778
O -0.589 2.016 12.211
O -0.347 4.269 7.698
O 0.109 10.308 3.446
O -0.108 6.803 9.530
O 0.860 6.308 2.815
O 1.178 11.012 0.811
O 1.091 8.835 5.638
O 1.516 1.147 0.356
O 1.318 2.532 4.469
O 1.031 1.138 10.614
O 1.271 5.921 11.759
O 2.280 8.825 2.587
O 2.470 3.720 0.048
O 2.153 4.651 9.418
O 2.607 11.800 3.397
O 2.658 4.896 5.083
O 2.655 7.498 9.894
O 3.117 1.212 6.111
O 3.199 3.490 7.135
O 3.660 5.788 2.702
O 3.719 10.498 1.613
O 3.305 11.461 9.758
O 3.277 0.865 12.152
O 3.486 1.686 9.383
O 3.784 10.715 6.150
O 3.799 8.230 7.494
O 3.966 7.974 4.479
O 4.081 2.831 4.251
O 3.975 5.861 7.624
O 4.736 0.516 1.738
O 4.556 5.657 9.965
O 5.044 8.053 1.687
O 5.037 0.194 4.465
O 5.229 10.257 3.460
O 5.377 5.588 4.848
O 5.042 11.358 12.418
O 5.556 0.204 7.262
O 5.487 3.694 8.600
O 5.622 8.077 9.493
O 5.851 0.370 10.063
O 6.029 8.972 6.241
O 6.628 2.099 0.299
O 6.688 3.286 5.961
O 6.852 4.016 3.159
O 6.979 10.608 8.936
O 7.522 8.088 3.730
O 7.461 1.749 8.243
O 7.287 9.345 11.332
O 7.937 12.259 1.073
O 8.224 5.706 4.942
O 8.403 1.846 2.652
O 8.321 4.293 8.021
O 8.809 8.610 0.276
O 8.521 -0.449 7.435
O 8.524 0.209 10.155
O 9.023 3.400 0.248
O 8.631 8.140 9.251
O 8.965 10.899 3.747
O 9.147 5.976 10.922
O 9.644 6.769 2.663
O 9.823 1.857 6.848
O 9.952 8.272 5.141
O 10.234 1.270 0.559
O 10.238 10.967 0.990
O 10.123 3.358 4.501
O 10.187 2.497 9.575
O 10.121 8.449 11.700
O 10.807 0.521 3.341
O 11.030 5.133 0.650
O 10.829 1.236 6.017
O 10.843 10.848 6.297
O 10.717 -0.769 11.578
O 10.882 -0.003 8.715
O 11.336 2.975 2.135
O 11.413 8.151 0.909
```

Summary:
VASP energy: -7.31 eV/atom
ΔH_f (0 K): -1.79 eV per atom

***

VO2: relaxed, PBE+U.

Structure (extended XYZ):
```
12
Lattice="5.898 0.000 0.000 -0.119 5.902 0.000 -2.889 -2.940 4.249" Properties=species:S:1:pos:R:3 pbc="T T T"
V 0.000 0.000 0.000
V -1.445 -1.470 2.124
V -0.060 2.951 0.000
V 1.504 -1.470 2.124
O -1.630 -1.405 4.101
O -0.028 -0.176 1.962
O 1.188 4.466 0.133
O -0.025 3.154 1.999
O 2.915 -0.192 2.250
O 1.702 -1.504 4.116
O 2.918 3.138 2.287
O 4.520 4.366 0.148
```

Summary:
VASP energy: -7.62 eV/atom
ΔH_f (0 K): -2.32 eV per atom

***

Question: Among the records above, which one has the lowest VASP energy?
Answer: VO2